The following is a GGA-PBE calculation of an optimized crystal structure of HfMg6CO8, from Materials Project.

Results
calculated volume: 166 Å³/cell
distance to the lowest polymorph of the same formula: 0.0 meV/atom
total DFT energy (no corrections): -6.32 eV per atom
ρ: 4.64 g/cm3

Unit cell a=9.2867 b=4.2293 c=4.2293 alpha=90.00 beta=90.00 gamma=90.00
Positions (direct):
1 Hf 0.0000 0.5000 0.5000
2 Mg 0.5000 0.0000 0.0000
3 Mg 0.5000 0.5000 0.5000
4 Mg 0.2596 0.0000 0.5000
5 Mg 0.7404 0.0000 0.5000
6 Mg 0.2596 0.5000 0.0000
7 Mg 0.7404 0.5000 0.0000
8 C 0.0000 0.0000 0.0000
9 O 0.2845 0.0000 0.0000
10 O 0.7155 0.0000 0.0000
11 O 0.2371 0.5000 0.5000
12 O 0.7629 0.5000 0.5000
13 O 0.0000 0.0000 0.5000
14 O 0.5000 0.0000 0.5000
15 O 0.0000 0.5000 0.0000
16 O 0.5000 0.5000 0.0000